## a
Crystalline Ta2Bi2O9 at its relaxed geometry, computed with PBE.

Summary:
ρ = 8.42 g cm⁻³
Crystal system = orthorhombic

```
Ta2Bi2O9
1.0
6.1556 6.4422 -8.7028
-10.0506 -5.2644 5.1386
-1.0704 4.7019 2.7235
O Ta Bi
18 4 4
Direct
0.9052 0.0468 0.7864 O
0.3322 0.3322 0.5706 O
0.3132 0.9928 0.5609 O
0.7563 0.2672 0.2217 O
0.2672 0.7563 0.2217 O
0.3656 0.5680 0.8397 O
0.0948 0.9532 0.2864 O
0.2437 0.7328 0.7217 O
0.0072 0.6868 0.0609 O
0.6344 0.4320 0.3397 O
0.6868 0.0072 0.0609 O
0.9928 0.3132 0.5609 O
0.7328 0.2437 0.7217 O
0.0468 0.9052 0.7864 O
0.4320 0.6344 0.3397 O
0.5680 0.3656 0.8397 O
0.9532 0.0948 0.2864 O
0.6678 0.6678 0.0706 O
0.3299 0.1759 0.5428 Ta
0.6701 0.8241 0.0428 Ta
0.8241 0.6701 0.0428 Ta
0.1759 0.3299 0.5428 Ta
0.5853 0.9757 0.4388 Bi
0.9757 0.5853 0.4388 Bi
0.0243 0.4147 0.9388 Bi
0.4147 0.0243 0.9388 Bi
```

=====

## b
Crystalline Ta2Bi2O9 at its relaxed geometry, computed with PBE.

Summary:
ρ = 7.33 g cm⁻³
Crystal system = monoclinic

```
Ta2Bi2O9
1.0
-0.9020 0.1641 3.6492
2.9497 -2.1833 0.8304
9.4245 11.0679 3.6612
Bi O Ta
2 9 2
Direct
0.7870 0.7870 0.4085 Bi
0.2130 0.2130 0.5915 Bi
0.5803 0.0793 0.8390 O
0.7496 0.2504 0.5000 O
0.4197 0.9207 0.1610 O
0.2504 0.7496 0.5000 O
0.6698 0.6698 0.6402 O
0.0000 0.0000 0.0000 O
0.3302 0.3302 0.3598 O
0.0793 0.5803 0.8390 O
0.9207 0.4197 0.1610 O
0.9365 0.9365 0.1287 Ta
0.0635 0.0635 0.8713 Ta
```

=====

a wins, 0.215 eV/atom ahead of the next structure.

=====

## a
Crystalline TaZnBiO5 at its relaxed geometry, computed with PBE.

Summary:
ρ = 7.71 g cm⁻³
Crystal system = orthorhombic

```
TaZnBiO5
1.0
-3.7693 -0.4811 -3.7591
-0.4178 -10.5496 1.7692
-11.4189 2.3225 11.1527
Ta Zn O Bi
8 8 40 8
Direct
0.5249 0.8733 0.5879 Ta
0.0249 0.6267 0.5879 Ta
0.5249 0.3733 0.9121 Ta
0.4751 0.1267 0.4121 Ta
0.4751 0.6267 0.0879 Ta
0.0249 0.1267 0.9121 Ta
0.9751 0.3733 0.4121 Ta
0.9751 0.8733 0.0879 Ta
0.0031 0.3707 0.0472 Zn
0.4969 0.8707 0.9528 Zn
0.0031 0.8707 0.4528 Zn
0.9969 0.1293 0.5472 Zn
0.9969 0.6293 0.9528 Zn
0.5031 0.1293 0.0472 Zn
0.4969 0.3707 0.5472 Zn
0.5031 0.6293 0.4528 Zn
0.2181 0.2763 0.4733 O
0.8562 0.7044 0.8482 O
0.8252 0.4967 0.6320 O
0.3486 0.6892 0.1893 O
0.3252 0.5033 0.8680 O
0.3562 0.7956 0.8482 O
0.3252 0.0033 0.6320 O
0.2819 0.2763 0.9733 O
0.7227 0.9702 0.0380 O
0.6748 0.4967 0.1320 O
0.8562 0.2044 0.6518 O
0.1748 0.5033 0.3680 O
0.7227 0.4702 0.4620 O
0.7773 0.9702 0.5380 O
0.1514 0.6892 0.6893 O
0.7819 0.2237 0.9733 O
0.1438 0.2956 0.1518 O
0.2773 0.5298 0.5380 O
0.3486 0.1892 0.3107 O
0.8252 0.9967 0.8680 O
0.2227 0.0298 0.4620 O
0.2773 0.0298 0.9620 O
0.2819 0.7763 0.5267 O
0.8486 0.3108 0.3107 O
0.1438 0.7956 0.3482 O
0.6438 0.2044 0.1518 O
0.6514 0.3108 0.8107 O
0.1514 0.1892 0.8107 O
0.7773 0.4702 0.9620 O
0.3562 0.2956 0.6518 O
0.6748 0.9967 0.3680 O
0.7181 0.2237 0.4733 O
0.2227 0.5298 0.0380 O
0.7819 0.7237 0.5267 O
0.1748 0.0033 0.1320 O
0.7181 0.7237 0.0267 O
0.2181 0.7763 0.0267 O
0.6514 0.8108 0.6893 O
0.6438 0.7044 0.3482 O
0.8486 0.8108 0.1893 O
0.0159 0.8562 0.7789 Bi
0.9841 0.1438 0.2211 Bi
0.9841 0.6438 0.2789 Bi
0.0159 0.3562 0.7211 Bi
0.4841 0.8562 0.2789 Bi
0.5159 0.1438 0.7211 Bi
0.5159 0.6438 0.7789 Bi
0.4841 0.3562 0.2211 Bi
```

=====

## b
Crystalline TaZnBiO5 at its relaxed geometry, computed with PBE.

Summary:
ρ = 7.00 g cm⁻³
Crystal system = monoclinic

```
TaZnBiO5
1.0
-1.6576 4.5890 -2.3390
-6.5953 -4.5362 1.0171
-1.7201 4.9530 10.9366
O Zn Ta Bi
20 4 4 4
Direct
0.0202 0.3189 0.9401 O
0.0236 0.8477 0.6745 O
0.2425 0.4849 0.4750 O
0.7575 0.5151 0.5250 O
0.1972 0.5132 0.7113 O
0.2575 0.0151 0.9750 O
0.0486 0.8290 0.4304 O
0.8028 0.4868 0.2887 O
0.7425 0.9849 0.0250 O
0.3028 0.9868 0.2113 O
0.6972 0.0132 0.7887 O
0.5486 0.3290 0.0696 O
0.5202 0.8189 0.5599 O
0.9764 0.1523 0.3255 O
0.4798 0.1811 0.4401 O
0.4514 0.6710 0.9304 O
0.9514 0.1710 0.5696 O
0.5236 0.3477 0.8255 O
0.4764 0.6523 0.1745 O
0.9798 0.6811 0.0599 O
0.8792 0.3335 0.4189 Zn
0.1208 0.6665 0.5811 Zn
0.3792 0.8335 0.0811 Zn
0.6208 0.1665 0.9189 Zn
0.2869 0.4660 0.8552 Ta
0.7869 0.9660 0.6448 Ta
0.2131 0.0340 0.3552 Ta
0.7131 0.5340 0.1448 Ta
0.6144 0.6676 0.4075 Bi
0.1144 0.1676 0.0925 Bi
0.3856 0.3324 0.5925 Bi
0.8856 0.8324 0.9075 Bi
```

=====

b wins, 0.011 eV/atom ahead of the next structure.

=====

## a
Crystalline Tc6BiO18 at its relaxed geometry, computed with PBE.

Summary:
ρ = 4.48 g cm⁻³
Crystal system = monoclinic

```
Tc6BiO18
1.0
0.8096 -3.1425 6.4713
7.0470 -0.9699 -1.3448
6.9829 11.6381 8.8075
Tc O Bi
12 36 2
Direct
0.0000 0.5000 0.0000 Tc
0.5000 0.0000 0.5000 Tc
0.8350 0.3345 0.8337 Tc
0.1650 0.6655 0.1663 Tc
0.3345 0.8350 0.3337 Tc
0.5000 0.5000 0.0000 Tc
0.8346 0.8364 0.8322 Tc
0.8364 0.8346 0.3322 Tc
0.1636 0.1654 0.6678 Tc
0.1654 0.1636 0.1678 Tc
0.5000 0.5000 0.5000 Tc
0.6655 0.1650 0.6663 Tc
0.0266 0.2783 0.0808 O
0.7988 0.0524 0.8933 O
0.5877 0.3283 0.9193 O
0.6971 0.9471 0.7510 O
0.7238 0.4795 0.0375 O
0.6473 0.0257 0.5817 O
0.3527 0.9743 0.4183 O
0.7503 0.5884 0.4210 O
0.2012 0.9476 0.1067 O
0.8457 0.5995 0.8013 O
0.5995 0.8457 0.3013 O
0.2783 0.0266 0.5808 O
0.7217 0.9734 0.4192 O
0.3283 0.5877 0.4193 O
0.0257 0.6473 0.0817 O
0.4116 0.2497 0.0790 O
0.0524 0.7988 0.3933 O
0.7011 0.2989 0.7500 O
0.6717 0.4123 0.5807 O
0.9460 0.0540 0.2500 O
0.9734 0.7217 0.9192 O
0.2762 0.5205 0.9625 O
0.9471 0.6971 0.2510 O
0.2989 0.7011 0.2500 O
0.1543 0.4005 0.1987 O
0.0529 0.3029 0.7490 O
0.4123 0.6717 0.0807 O
0.2497 0.4116 0.5790 O
0.9743 0.3527 0.9183 O
0.4005 0.1543 0.6987 O
0.3029 0.0529 0.2490 O
0.4795 0.7238 0.5375 O
0.9476 0.2012 0.6067 O
0.0540 0.9460 0.7500 O
0.5884 0.7503 0.9210 O
0.5205 0.2762 0.4625 O
0.5000 0.0000 0.0000 Bi
0.0000 0.5000 0.5000 Bi
```

=====

## b
Crystalline Tc6BiO18 at its relaxed geometry, computed with PBE.

Summary:
ρ = 4.42 g cm⁻³
Crystal system = triclinic

```
Tc6BiO18
1.0
7.2651 0.0000 0.0000
-0.0044 7.2660 0.0000
-3.5794 -3.5953 15.4333
O Tc Bi
36 12 2
Direct
0.5884 0.8451 0.0841 O
0.0630 0.3012 0.6096 O
0.3008 0.5523 0.7520 O
0.2742 0.5274 0.4162 O
0.4040 0.7645 0.9150 O
0.4164 0.1792 0.9204 O
0.9468 0.5572 0.7502 O
0.6470 0.9084 0.4131 O
0.0541 0.8043 0.2498 O
0.7967 0.5486 0.1083 O
0.0237 0.1508 0.9189 O
0.7266 0.9826 0.9657 O
0.8407 0.0982 0.1993 O
0.5153 0.7773 0.5341 O
0.1966 0.4420 0.8893 O
0.7312 0.4743 0.5797 O
0.5849 0.2521 0.0788 O
0.2751 0.0207 0.0325 O
0.5997 0.3535 0.6994 O
0.9527 0.2022 0.7471 O
0.9451 0.7010 0.3877 O
0.3309 0.0887 0.5799 O
0.4839 0.2272 0.4660 O
0.4000 0.6506 0.3003 O
0.9703 0.2155 0.0832 O
0.0521 0.4462 0.2483 O
0.2482 0.9145 0.4204 O
0.6436 0.5297 0.4194 O
0.3092 0.1925 0.7492 O
0.9699 0.8511 0.0830 O
0.0218 0.7750 0.9219 O
0.6962 0.4429 0.2491 O
0.7360 0.0950 0.5865 O
0.7021 0.7943 0.2487 O
0.3629 0.4773 0.5828 O
0.1542 0.9063 0.8052 O
0.0066 0.0081 0.9980 Tc
0.8341 0.8338 0.1641 Tc
0.8338 0.3470 0.6654 Tc
0.1623 0.1650 0.8288 Tc
0.4887 0.5007 0.4977 Tc
0.3389 0.3412 0.6715 Tc
0.6671 0.6600 0.3323 Tc
0.5033 0.9826 0.9981 Tc
0.1606 0.6652 0.8341 Tc
0.8328 0.3318 0.1688 Tc
0.5231 0.0014 0.4999 Tc
0.1644 0.6657 0.3278 Tc
0.4993 0.4622 0.0017 Bi
0.0496 0.0042 0.5021 Bi
```

=====

b wins, 0.009 eV/atom ahead of the next structure.

=====

## a
Crystalline Ti3Bi4O12 at its relaxed geometry, computed with PBE.

Summary:
ρ = 7.72 g cm⁻³
Crystal system = monoclinic

```
Ti3Bi4O12
1.0
5.4539 0.0000 0.0000
0.0000 5.5404 0.0000
0.0000 2.6883 16.6774
O Bi Ti
24 8 6
Direct
0.3202 0.5417 0.1138 O
0.6798 0.0417 0.1138 O
0.0074 0.0194 0.5007 O
0.8295 0.1570 0.8815 O
0.4691 0.4037 0.7775 O
0.9926 0.5194 0.5007 O
0.4935 0.5198 0.4970 O
0.0219 0.1963 0.2187 O
0.1853 0.3911 0.3590 O
0.5065 0.0198 0.4970 O
0.5398 0.2382 0.2471 O
0.5257 0.8163 0.9779 O
0.0322 0.8539 0.0153 O
0.3081 0.7385 0.6373 O
0.4602 0.7382 0.2471 O
0.9678 0.3539 0.0153 O
0.9781 0.6963 0.2187 O
0.6919 0.2385 0.6373 O
0.9487 0.4954 0.7496 O
0.8147 0.8911 0.3590 O
0.0513 0.9954 0.7496 O
0.4743 0.3163 0.9779 O
0.5309 0.9037 0.7775 O
0.1705 0.6570 0.8815 O
0.7243 0.7150 0.5757 Bi
0.7506 0.4370 0.1319 Bi
0.7496 0.5673 0.8661 Bi
0.2504 0.0673 0.8661 Bi
0.2248 0.7849 0.4221 Bi
0.2494 0.9370 0.1319 Bi
0.2757 0.2150 0.5757 Bi
0.7752 0.2849 0.4221 Bi
0.2487 0.5455 0.9976 Ti
0.7520 0.1784 0.7422 Ti
0.2516 0.4289 0.2547 Ti
0.7484 0.9289 0.2547 Ti
0.2480 0.6784 0.7422 Ti
0.7513 0.0455 0.9976 Ti
```

=====

## b
Crystalline Ti3Bi4O12 at its relaxed geometry, computed with PBE.

Summary:
ρ = 7.76 g cm⁻³
Crystal system = orthorhombic

```
Ti3Bi4O12
1.0
2.7141 -2.7578 0.0000
2.7141 2.7578 0.0000
0.0000 0.0000 33.5080
O Ti Bi
24 6 8
Direct
0.0178 0.5076 0.4996 O
0.4989 0.0114 0.2500 O
0.4865 0.5277 0.0595 O
0.0076 0.5178 0.9996 O
0.0277 0.9865 0.5595 O
0.0248 0.9910 0.3175 O
0.0054 0.4813 0.8829 O
0.0114 0.4989 0.7500 O
0.0009 0.5232 0.1169 O
0.5248 0.4910 0.1825 O
0.5114 0.9989 0.7500 O
0.9865 0.0277 0.4405 O
0.5277 0.4865 0.9405 O
0.4813 0.0054 0.1171 O
0.9910 0.0248 0.6825 O
0.5232 0.0009 0.8831 O
0.5178 0.0076 0.0004 O
0.9813 0.5054 0.3829 O
0.5009 0.0232 0.3831 O
0.5054 0.9813 0.6171 O
0.5076 0.0178 0.5004 O
0.4910 0.5248 0.8175 O
0.9989 0.5114 0.2500 O
0.0232 0.5009 0.6169 O
0.4890 0.5149 0.8710 Ti
0.9896 0.9896 0.5000 Ti
0.9890 0.0149 0.6290 Ti
0.4896 0.4896 0.0000 Ti
0.0149 0.9890 0.3710 Ti
0.5149 0.4890 0.1290 Ti
0.9172 0.0704 0.9336 Bi
0.5201 0.4861 0.7118 Bi
0.5704 0.4172 0.4336 Bi
0.0704 0.9172 0.0664 Bi
0.4861 0.5201 0.2882 Bi
0.4172 0.5704 0.5664 Bi
0.0201 0.9861 0.7882 Bi
0.9861 0.0201 0.2118 Bi
```

=====

a wins, 0.038 eV/atom ahead of the next structure.